Entry 1:
A relaxed structure of FeBiAsO, computed with PBE with a Hubbard U.

extended XYZ file:
```
8
Lattice="4.0160 0.0000 0.0000 0.0000 4.0160 0.0000 0.0000 0.0000 9.4305" Properties=species:S:1:pos:R:3 pbc="T T T"
Fe 2.0080 2.0080 4.7152
Fe 0.0000 0.0000 4.7152
Bi 0.0000 2.0080 8.1798
Bi 2.0080 0.0000 1.2507
As 0.0000 2.0080 3.0346
As 2.0080 0.0000 6.3959
O 2.0080 2.0080 0.0000
O 0.0000 0.0000 0.0000
```

***

Entry 2:
A relaxed structure of Bi7Mo2As3O24, computed with PBE with a Hubbard U.

extended XYZ file:
```
144
Lattice="-3.2035 2.5357 -3.5466 -12.6847 -9.0092 5.0163 -5.2359 16.6229 16.6144" Properties=species:S:1:pos:R:3 pbc="T T T"
Bi -8.9972 11.0627 14.4061
Bi -15.5412 11.4381 16.4756
Bi -4.9750 1.2651 -0.8800
Bi -13.8667 5.0176 10.0112
Bi -7.3394 1.9822 2.2897
Bi -5.5829 -1.2887 1.6085
Bi -8.8120 1.4272 6.9166
Bi -3.3519 4.9154 0.3521
Bi -14.1942 2.2418 12.8103
Bi -16.1492 8.8844 18.9642
Bi -11.6787 1.8886 9.9244
Bi -9.3273 -4.4724 3.6137
Bi -13.1012 -4.6095 2.4366
Bi -8.0229 14.7590 15.6475
Bi -5.9520 8.6200 9.0264
Bi -16.6358 6.0551 12.7330
Bi -5.0876 14.2432 12.7157
Bi -13.7848 8.1672 15.7944
Bi -15.1722 1.5294 9.0578
Bi -7.2575 5.1318 8.0729
Bi -13.0577 -1.4872 8.2349
Bi -9.4454 8.2608 8.1598
Bi -4.4883 4.0943 5.3512
Bi -12.1270 -0.9133 3.6780
Bi -12.3122 8.7223 11.1675
Bi -8.0664 11.6367 9.8492
Bi -11.7968 14.6218 14.4704
Bi -6.9300 7.9076 5.2738
Mo -10.9660 4.4485 6.8959
Mo -8.0733 -0.9179 4.5728
Mo -4.3489 11.8982 10.3719
Mo -13.0508 11.0673 13.5113
Mo -7.2416 17.2645 12.6950
Mo -4.0905 7.2604 2.6960
Mo -10.1581 5.7009 11.1882
Mo -1.1978 1.8941 0.3729
As -5.3929 11.3952 6.8287
As -3.0465 7.7634 6.2392
As -12.0069 11.5702 17.0545
As -12.8056 5.7905 13.6326
As -8.5215 8.8204 11.9513
As -17.2875 8.1725 15.2574
As -3.8367 1.9769 2.8267
As -12.6027 1.3290 6.1328
As -9.1173 -1.4208 1.0296
As -12.2544 -3.9889 6.1427
As -8.8697 14.1383 11.9414
As -8.3186 4.3589 4.4515
O -3.8129 0.2468 2.8740
O -11.5949 10.0766 13.2378
O -9.2798 3.6686 7.0924
O -5.9696 11.0025 9.9287
O -5.7067 9.6966 6.9789
O -9.9075 8.2148 11.1013
O -15.1400 9.3310 17.1010
O -17.3113 9.9026 15.2102
O -2.2944 0.7145 -0.3905
O -13.1212 7.4769 13.4348
O -13.1541 0.5706 9.0438
O -7.1873 -0.0332 3.1384
O -15.8625 5.3519 10.7821
O -15.7015 7.5888 14.8017
O -15.3257 4.0057 8.5113
O -10.0104 4.7242 4.5720
O -15.1643 2.9953 15.0423
O -12.4415 1.5017 4.4221
O -9.4069 0.2502 0.6374
O -3.4404 2.6371 1.2719
O -14.2988 -5.4332 4.6904
O -17.3286 2.7029 10.3136
O -12.6443 -0.4107 6.3208
O -4.1919 7.2282 5.0427
O -6.8254 15.5826 13.3937
O -8.7793 15.7694 11.3571
O -17.8881 12.3567 16.7965
O -3.2361 -2.2073 1.2876
O -11.8353 4.2318 8.4367
O -9.3534 14.0195 13.5991
O -10.5478 3.9618 11.2074
O -15.4175 0.4528 11.1052
O -5.7984 6.1437 9.5728
O -12.0100 8.5192 8.9000
O -5.4227 2.5606 3.2824
O -3.6708 5.5338 2.8323
O -10.0441 15.5891 16.0344
O -11.8444 6.4808 10.9917
O -4.3197 3.8104 -1.4131
O -11.2167 1.9347 6.9828
O -17.6837 7.5123 16.8122
O -14.1000 2.0126 6.6683
O -5.2616 4.7975 7.3020
O -6.9497 12.1662 6.9377
O -7.3977 13.2732 11.6819
O -3.7955 7.4466 7.7705
O -2.8414 2.6256 4.0802
O -18.2827 7.5238 14.0039
O -8.7107 -2.5919 5.2182
O -11.1137 5.4252 13.5121
O -14.1745 -2.0168 11.1465
O -8.6826 8.6478 13.6621
O -9.2391 -1.7857 2.7272
O -12.3064 -7.4580 4.6309
O -13.9896 10.4159 12.1436
O -13.7954 4.8628 12.5576
O -13.9369 10.1827 14.9457
O -11.8850 11.9351 15.3569
O -5.9598 7.1541 3.0418
O -11.1305 -3.1058 7.1530
O -7.9700 9.5788 9.0404
O -12.4135 12.7413 12.8659
O -7.0241 8.1369 11.4158
O -7.3287 5.2867 5.5265
O -18.8298 9.4349 18.4747
O -16.9322 2.9212 13.0414
O -9.9937 13.2552 10.9311
O -11.7707 -3.8700 4.4850
O -10.2705 -2.4550 0.2505
O -8.5117 12.6600 15.8592
O -7.5289 -1.7684 0.4276
O -8.4798 10.5602 11.7633
O -16.8044 6.3390 19.4972
O -12.6125 -2.5106 2.2249
O -17.4534 4.6157 15.2519
O -9.2889 5.9176 9.6474
O -13.3092 5.5175 15.2866
O -5.9842 0.8184 0.9831
O -9.5293 0.0728 4.8463
O -7.3705 7.3172 7.7052
O -8.8178 17.6074 13.4532
O -4.4464 11.8136 12.1494
O -16.6778 -1.6641 5.9347
O -7.8149 4.6319 2.7976
O -13.7537 2.8322 10.3789
O -11.0801 -5.4397 2.0497
O -13.5953 11.9178 17.6565
O -9.1141 1.6302 9.1841
O -7.1346 -0.2665 5.9405
O -10.5763 6.1876 6.8767
O -8.0029 2.6726 4.6494
O -12.3449 -5.6200 6.7270
O -11.7173 9.8992 17.4467
O -10.8537 12.6044 17.8336
O -15.1546 -0.8530 8.1554
O -13.7265 -3.1238 6.4022
```

***

Entry 3:
A relaxed structure of NiBiAsO5, computed with PBE with a Hubbard U.

extended XYZ file:
```
32
Lattice="5.0908 -0.0117 -1.5660 3.5914 6.1788 2.8874 1.5012 -6.1739 9.4105" Properties=species:S:1:pos:R:3 pbc="T T T"
Ni 5.1898 -3.9293 5.3812
Ni 4.9915 3.9217 5.3499
Ni 3.6901 2.2544 2.9018
Ni 6.4941 -2.2618 7.8302
Bi 6.7821 1.4460 3.9094
Bi 3.1921 -4.7242 7.9538
Bi 3.4014 -1.4529 6.8225
Bi 6.9912 4.7175 2.7782
As 4.5713 -1.1525 10.3056
As 4.5699 -1.1609 3.3737
As 5.6124 1.1456 0.4263
As 5.6134 1.1540 7.3580
O 4.6780 -3.1105 7.2967
O 8.2679 3.0600 3.2517
O 5.5055 3.1036 3.4351
O 1.9152 -3.0670 7.4800
O 7.4310 -4.0310 8.4591
O 5.9307 2.1517 5.9805
O 2.7527 4.0241 2.2729
O 4.2528 -2.1584 4.7514
O 3.2959 -1.3878 9.1654
O 3.2946 -1.3959 2.2332
O 6.8877 1.3810 1.5666
O 6.8886 1.3890 8.4987
O 5.6365 -0.5176 6.8503
O 0.5444 -0.5141 1.4842
O 4.5471 0.5107 3.8816
O 9.6391 0.5073 9.2476
O 4.0503 1.4620 1.0345
O 4.0515 1.4703 7.9667
O 6.1333 -1.4687 9.6974
O 6.1319 -1.4771 2.7649
```

***

Entry 4:
A relaxed structure of Cr3Co2As2C20O20, computed with PBE with a Hubbard U.

extended XYZ file:
```
94
Lattice="-6.6092 3.1762 -5.3441 0.5480 -1.7887 -9.2260 -12.3554 -18.5217 -1.5717" Properties=species:S:1:pos:R:3 pbc="T T T"
Cr -4.6252 -4.9409 -9.2865
Cr -13.7913 -12.1933 -6.8553
Cr -2.0233 -2.0595 -6.6023
Cr -16.3933 -15.0746 -9.5395
Cr -10.6925 -6.2968 -13.4425
Cr -7.7241 -10.8373 -2.6993
Co -4.6805 -5.5142 -6.4715
Co -13.7360 -11.6199 -9.6702
Co -8.5344 -2.5948 -14.2219
Co -9.8821 -14.5394 -1.9198
As -3.0712 -4.1162 -7.5716
As -15.3454 -13.0179 -8.5702
As -3.8545 -6.9941 -8.1489
As -14.5621 -10.1400 -7.9929
C -3.9730 -3.7778 -10.6339
C -14.4436 -13.3564 -5.5078
C -4.5272 -6.1027 -10.7875
C -13.8894 -11.0314 -5.3543
C -6.4276 -5.5304 -9.3739
C -11.9889 -11.6037 -6.7678
C -5.5460 -3.3199 -8.8858
C -12.8706 -13.8142 -7.2559
C -3.5211 -6.1459 -5.3152
C -14.8955 -10.9883 -10.8266
C -5.3419 -4.0875 -5.6353
C -13.0747 -13.0467 -10.5064
C -6.1702 -6.4946 -6.2550
C -12.2464 -10.6396 -9.8867
C -8.7114 -2.0898 -6.1817
C -9.7052 -15.0444 -9.9601
C -8.1296 0.4602 -5.8404
C -10.2870 -17.5944 -10.3013
C -7.5767 -3.0295 -12.8273
C -10.8399 -14.1046 -3.3144
C -1.1889 -0.5258 -5.8836
C -17.2277 -16.6084 -10.2581
C -1.9693 -1.3362 -8.3744
C -16.4472 -15.7980 -7.7673
C -6.8988 0.3339 -12.1379
C -11.5178 -17.4680 -4.0039
C -2.1533 -2.8169 -4.8617
C -16.2633 -14.3173 -11.2800
C -3.7052 -1.1903 -6.3749
C -14.7114 -15.9438 -9.7669
C -10.8770 -8.1731 -13.3463
C -7.5395 -8.9611 -2.7955
C -5.9600 -9.2592 -8.4199
C -12.4566 -7.8750 -7.7219
C -8.8192 -6.4607 -13.1678
C -9.5974 -10.6734 -2.9740
C -10.9575 -6.2329 -11.5569
C -7.4590 -10.9013 -4.5849
C -10.9814 -4.6870 -6.1033
C -7.4352 -12.4472 -10.0385
O -4.1290 -1.2769 -2.2328
O -14.2876 -15.8573 -13.9089
O -5.0437 -4.9833 -2.5081
O -13.3728 -12.1508 -13.6337
O -7.5234 -5.8997 -9.4345
O -10.8932 -11.2344 -6.7073
O -6.1117 -2.3233 -8.7179
O -12.3048 -14.8109 -7.4239
O -9.3905 -3.3649 -9.8626
O -9.0261 -13.7693 -6.2792
O -5.7462 -3.1844 -5.0377
O -12.6703 -13.9498 -11.1041
O -7.1329 -7.1107 -6.0931
O -11.2837 -10.0235 -10.0486
O -8.4222 -2.9439 -6.9029
O -9.9944 -14.1902 -9.2388
O -7.5044 1.2694 -6.3745
O -10.9121 -18.4036 -9.7673
O -6.9025 -3.3204 -11.9314
O -11.5141 -13.8138 -4.2104
O -13.0236 -18.1159 -6.9973
O -5.3929 0.9817 -9.1445
O -1.9822 -0.8871 -9.4423
O -16.4344 -16.2471 -6.6995
O -5.8433 -0.1342 -12.2286
O -12.5733 -17.0000 -3.9131
O -2.2345 -3.2876 -3.8032
O -16.1821 -13.8466 -12.3386
O -4.6947 -0.6029 -6.2297
O -13.7219 -16.5313 -9.9121
O -10.9746 -9.3278 -13.2802
O -7.4419 -7.8064 -2.8615
O -7.0894 -9.1409 -8.6453
O -11.3272 -7.9932 -7.4965
O -8.2217 -4.7689 -3.7780
O -10.1949 -12.3652 -12.3637
O -11.1077 -6.2228 -10.4069
O -7.3089 -10.9114 -5.7348
O -10.8371 -4.8683 -7.2384
O -7.5795 -12.2659 -8.9034
```

***

Number 1: formation energy from the elements -1.59 eV per formula unit, MP2020-corrected energy -5.8890 eV per atom. Number 2: formation energy from the elements -65.29 eV per formula unit, MP2020-corrected energy -6.8593 eV per atom. Number 3: formation energy from the elements -13.16 eV per formula unit, MP2020-corrected energy -6.5283 eV per atom. Number 4: formation energy from the elements -35.18 eV per formula unit, MP2020-corrected energy -7.8980 eV per atom.